Version w
This record from the Materials Project describes TiFe3O6 after structural relaxation. The functional is PBE with a Hubbard U.

Unit cell a=23.491 b=23.491 c=23.491 alpha=12.55 beta=12.55 gamma=12.55
Positions (direct):
Ti: 0.000 0.000 0.000
Ti: 0.059 0.059 0.059
Ti: 0.200 0.200 0.200
Ti: 0.600 0.600 0.600
Ti: 0.800 0.800 0.800
Fe: 0.101 0.101 0.101
Fe: 0.158 0.158 0.158
Fe: 0.258 0.258 0.258
Fe: 0.300 0.300 0.300
Fe: 0.359 0.359 0.359
Fe: 0.400 0.400 0.400
Fe: 0.459 0.459 0.459
Fe: 0.500 0.500 0.500
Fe: 0.558 0.558 0.558
Fe: 0.658 0.658 0.658
Fe: 0.700 0.700 0.700
Fe: 0.758 0.758 0.758
Fe: 0.858 0.858 0.858
Fe: 0.900 0.900 0.900
Fe: 0.958 0.958 0.958
O: 0.070 0.702 0.367
O: 0.075 0.381 0.781
O: 0.079 0.782 0.479
O: 0.156 0.493 0.788
O: 0.185 0.876 0.478
O: 0.187 0.557 0.894
O: 0.276 0.878 0.586
O: 0.277 0.986 0.676
O: 0.294 0.587 0.957
O: 0.357 0.692 0.989
O: 0.367 0.070 0.702
O: 0.381 0.781 0.075
O: 0.478 0.185 0.876
O: 0.479 0.079 0.782
O: 0.493 0.788 0.156
O: 0.557 0.894 0.187
O: 0.586 0.276 0.878
O: 0.587 0.957 0.294
O: 0.676 0.277 0.986
O: 0.692 0.989 0.357
O: 0.702 0.367 0.070
O: 0.781 0.075 0.381
O: 0.782 0.479 0.079
O: 0.788 0.156 0.493
O: 0.876 0.478 0.185
O: 0.878 0.586 0.276
O: 0.894 0.187 0.557
O: 0.957 0.294 0.587
O: 0.986 0.676 0.277
O: 0.989 0.357 0.692



Version x
This record from the Materials Project describes TiFe3O6 after structural relaxation. The functional is PBE with a Hubbard U.

Unit cell a=6.040 b=6.064 c=14.773 alpha=89.12 beta=89.20 gamma=60.22
Positions (direct):
Ti: 0.000 0.000 0.000
Ti: 0.009 0.511 0.480
Ti: 0.498 0.492 0.000
Ti: 0.642 0.658 0.320
Fe: 0.153 0.158 0.324
Fe: 0.318 0.834 0.163
Fe: 0.324 0.329 0.662
Fe: 0.324 0.818 0.792
Fe: 0.328 0.839 0.533
Fe: 0.646 0.152 0.834
Fe: 0.665 0.156 0.448
Fe: 0.669 0.154 0.205
Fe: 0.824 0.830 0.661
Fe: 0.826 0.327 0.660
Fe: 0.981 0.489 0.122
Fe: 0.994 0.507 0.872
O: 0.018 0.009 0.245
O: 0.133 0.160 0.070
O: 0.138 0.185 0.578
O: 0.141 0.662 0.575
O: 0.160 0.664 0.067
O: 0.293 0.327 0.413
O: 0.314 0.815 0.920
O: 0.341 0.351 0.909
O: 0.349 0.837 0.407
O: 0.488 0.982 0.254
O: 0.505 0.992 0.748
O: 0.509 0.512 0.252
O: 0.512 0.473 0.746
O: 0.642 0.638 0.073
O: 0.673 0.154 0.590
O: 0.674 0.174 0.061
O: 0.680 0.653 0.582
O: 0.815 0.320 0.915
O: 0.826 0.797 0.414
O: 0.835 0.359 0.408
O: 0.846 0.849 0.910
O: 0.972 0.004 0.743
O: 0.973 0.495 0.249
O: 0.980 0.505 0.740



Version y
This record from the Materials Project describes TiFe3O6 after structural relaxation. The functional is PBE with a Hubbard U.

Unit cell a=5.514 b=5.514 c=5.514 alpha=55.91 beta=55.91 gamma=55.91
Positions (direct):
Ti: 0.000 0.000 0.000
Fe: 0.207 0.207 0.207
Fe: 0.498 0.498 0.498
Fe: 0.707 0.707 0.707
O: 0.085 0.819 0.405
O: 0.284 0.615 0.923
O: 0.405 0.085 0.819
O: 0.615 0.923 0.284
O: 0.819 0.405 0.085
O: 0.923 0.284 0.615



Quick one: least stable of them? version x



Version w
This record from the Materials Project describes Ti2Fe4O9 after structural relaxation. The functional is PBE with a Hubbard U.

Unit cell a=5.519 b=5.519 c=12.906 alpha=93.12 beta=93.12 gamma=55.77
Positions (direct):
Ti: 0.005 0.995 0.500
Ti: 0.663 0.673 0.323
Ti: 0.673 0.663 0.823
Ti: 0.995 0.005 0.000
Fe: 0.049 0.049 0.232
Fe: 0.049 0.049 0.732
Fe: 0.329 0.333 0.159
Fe: 0.333 0.329 0.659
Fe: 0.388 0.389 0.396
Fe: 0.389 0.388 0.896
Fe: 0.714 0.724 0.061
Fe: 0.724 0.714 0.561
O: 0.012 0.271 0.086
O: 0.070 0.425 0.298
O: 0.073 0.748 0.122
O: 0.176 0.558 0.530
O: 0.230 0.829 0.375
O: 0.271 0.012 0.586
O: 0.353 0.603 0.761
O: 0.395 0.750 0.958
O: 0.425 0.070 0.798
O: 0.509 0.892 0.207
O: 0.558 0.176 0.030
O: 0.603 0.353 0.261
O: 0.657 0.954 0.417
O: 0.748 0.073 0.622
O: 0.750 0.395 0.458
O: 0.829 0.230 0.875
O: 0.892 0.509 0.707
O: 0.954 0.657 0.917



Version x
This record from the Materials Project describes Ti2Fe4O9 after structural relaxation. The functional is PBE with a Hubbard U.

Unit cell a=5.519 b=7.599 c=8.888 alpha=113.31 beta=105.12 gamma=95.85
Positions (direct):
Ti: 0.000 0.000 0.000
Ti: 0.002 0.505 0.997
Ti: 0.315 0.816 0.655
Ti: 0.673 0.160 0.329
Fe: 0.066 0.457 0.329
Fe: 0.086 0.954 0.331
Fe: 0.320 0.321 0.654
Fe: 0.415 0.283 0.992
Fe: 0.418 0.779 0.994
Fe: 0.653 0.655 0.323
Fe: 0.729 0.615 0.658
Fe: 0.744 0.114 0.661
O: 0.064 0.266 0.437
O: 0.092 0.269 0.084
O: 0.097 0.287 0.787
O: 0.298 0.987 0.880
O: 0.321 0.002 0.194
O: 0.345 0.016 0.578
O: 0.380 0.567 0.083
O: 0.430 0.614 0.752
O: 0.438 0.633 0.471
O: 0.628 0.318 0.548
O: 0.653 0.330 0.868
O: 0.659 0.332 0.222
O: 0.752 0.929 0.775
O: 0.759 0.965 0.427
O: 0.785 0.969 0.121
O: 0.964 0.643 0.210
O: 0.980 0.669 0.545
O: 0.980 0.680 0.895



Quick one: least stable of them? version x



Version w
This record from the Materials Project describes Ti3Fe7O15 after structural relaxation. The functional is PBE with a Hubbard U.

Unit cell a=5.512 b=5.512 c=21.484 alpha=94.43 beta=94.43 gamma=55.75
Positions (direct):
Ti: 0.245 0.755 0.500
Ti: 0.358 0.851 0.805
Ti: 0.450 0.955 0.107
Ti: 0.755 0.245 0.000
Ti: 0.851 0.358 0.305
Ti: 0.955 0.450 0.607
Fe: 0.049 0.547 0.905
Fe: 0.063 0.565 0.764
Fe: 0.145 0.648 0.204
Fe: 0.160 0.661 0.063
Fe: 0.252 0.750 0.361
Fe: 0.348 0.851 0.662
Fe: 0.461 0.951 0.964
Fe: 0.547 0.049 0.405
Fe: 0.565 0.063 0.264
Fe: 0.648 0.145 0.704
Fe: 0.661 0.160 0.563
Fe: 0.750 0.252 0.861
Fe: 0.851 0.348 0.162
Fe: 0.951 0.461 0.464
O: 0.004 0.247 0.949
O: 0.006 0.105 0.076
O: 0.049 0.805 0.845
O: 0.069 0.899 0.727
O: 0.105 0.006 0.576
O: 0.117 0.263 0.821
O: 0.189 0.329 0.681
O: 0.221 0.422 0.552
O: 0.247 0.004 0.449
O: 0.263 0.117 0.321
O: 0.300 0.470 0.429
O: 0.329 0.189 0.181
O: 0.397 0.653 0.143
O: 0.416 0.499 0.278
O: 0.422 0.221 0.052
O: 0.470 0.300 0.929
O: 0.499 0.416 0.778
O: 0.510 0.654 0.026
O: 0.602 0.720 0.877
O: 0.624 0.826 0.748
O: 0.653 0.397 0.643
O: 0.654 0.510 0.526
O: 0.708 0.863 0.622
O: 0.720 0.602 0.377
O: 0.804 0.921 0.483
O: 0.805 0.049 0.345
O: 0.826 0.624 0.248
O: 0.863 0.708 0.122
O: 0.899 0.069 0.227
O: 0.921 0.804 0.983



Version x
This record from the Materials Project describes Ti3Fe7O15 after structural relaxation. The functional is PBE with a Hubbard U.

Unit cell a=5.501 b=8.930 c=11.714 alpha=75.15 beta=81.52 gamma=74.57
Positions (direct):
Ti: 0.000 0.000 0.000
Ti: 0.009 0.503 0.498
Ti: 0.205 0.901 0.701
Ti: 0.396 0.302 0.898
Ti: 0.601 0.695 0.103
Ti: 0.803 0.103 0.307
Fe: 0.101 0.658 0.976
Fe: 0.113 0.157 0.473
Fe: 0.204 0.400 0.202
Fe: 0.303 0.059 0.177
Fe: 0.312 0.557 0.674
Fe: 0.411 0.796 0.401
Fe: 0.497 0.959 0.877
Fe: 0.498 0.460 0.379
Fe: 0.605 0.202 0.601
Fe: 0.699 0.858 0.578
Fe: 0.710 0.360 0.072
Fe: 0.806 0.603 0.798
Fe: 0.898 0.257 0.774
Fe: 0.909 0.759 0.276
O: 0.000 0.256 0.186
O: 0.112 0.713 0.799
O: 0.116 0.387 0.811
O: 0.128 0.037 0.814
O: 0.169 0.006 0.352
O: 0.172 0.370 0.373
O: 0.187 0.665 0.390
O: 0.315 0.109 0.997
O: 0.320 0.794 0.003
O: 0.322 0.434 0.010
O: 0.361 0.406 0.564
O: 0.385 0.772 0.576
O: 0.400 0.056 0.588
O: 0.498 0.519 0.192
O: 0.522 0.191 0.207
O: 0.525 0.835 0.209
O: 0.570 0.812 0.759
O: 0.588 0.166 0.777
O: 0.602 0.452 0.791
O: 0.706 0.916 0.398
O: 0.719 0.597 0.412
O: 0.723 0.225 0.416
O: 0.782 0.200 0.959
O: 0.785 0.574 0.972
O: 0.806 0.867 0.982
O: 0.904 0.314 0.599
O: 0.917 0.635 0.615
O: 0.923 0.989 0.609
O: 0.966 0.612 0.154
O: 0.990 0.969 0.164



Quick one: least stable of them? version x